Density functional theory data (meta-GGA r2SCAN) for a geometry-optimized Lu3Sc structure.

Cell lengths 6.9530, 6.9530, 5.3778 Å; angles 90.00, 90.00, 120.00 degrees
Positions (direct):
Lu  0.1682  0.3364  0.2500
Lu  0.1682  0.8318  0.2500
Lu  0.3364  0.1682  0.7500
Lu  0.6636  0.8318  0.2500
Lu  0.8318  0.1682  0.7500
Lu  0.8318  0.6636  0.7500
Sc  0.3333  0.6667  0.7500
Sc  0.6667  0.3333  0.2500

The formation energy is 2 kJ/mol of atoms. The space-group type is P6_3/mmc (194). As for the crystal system: hexagonal.